The following is a DFT calculation (PBE) of an optimized crystal structure of Cs2ZnI4.

abc: 11.107 8.566 14.876
angles: 90.00 90.00 90.00
Atoms (fractional coordinates):
1 Cs 0.024 0.250 0.168
2 Cs 0.132 0.750 0.396
3 Cs 0.368 0.250 0.896
4 Cs 0.476 0.750 0.668
5 Cs 0.524 0.250 0.332
6 Cs 0.632 0.750 0.104
7 Cs 0.868 0.250 0.604
8 Cs 0.976 0.750 0.832
9 Zn 0.236 0.750 0.077
10 Zn 0.264 0.250 0.577
11 Zn 0.736 0.750 0.423
12 Zn 0.764 0.250 0.923
13 I 0.001 0.250 0.902
14 I 0.174 0.503 0.654
15 I 0.174 0.997 0.654
16 I 0.189 0.250 0.409
17 I 0.311 0.750 0.909
18 I 0.326 0.003 0.154
19 I 0.326 0.497 0.154
20 I 0.499 0.750 0.402
21 I 0.501 0.250 0.598
22 I 0.674 0.503 0.846
23 I 0.674 0.997 0.846
24 I 0.689 0.250 0.091
25 I 0.811 0.750 0.591
26 I 0.826 0.003 0.346
27 I 0.826 0.497 0.346
28 I 0.999 0.750 0.098

Results
The formation energy comes out at -1.40 eV/atom.



The following is a DFT calculation (PBE) of an optimized crystal structure of ErAs.

abc: 3.547 3.547 3.547
angles: 90.00 90.00 90.00
Atoms (fractional coordinates):
1 Er 0.000 0.000 0.000
2 As 0.500 0.500 0.500

Results
The formation energy comes out at -1.02 eV/atom. The value obtained for the total magnetization is 0.001 μB per atom.



The following is a DFT calculation (PBE) of an optimized crystal structure of BaSiC.

abc: 8.310 6.177 11.088
angles: 90.00 90.00 90.00
Atoms (fractional coordinates):
1 Ba 0.020 0.250 0.200
2 Ba 0.160 0.750 0.390
3 Ba 0.340 0.250 0.890
4 Ba 0.480 0.750 0.700
5 Ba 0.520 0.250 0.300
6 Ba 0.660 0.750 0.110
7 Ba 0.840 0.250 0.610
8 Ba 0.980 0.750 0.800
9 Si 0.079 0.750 0.098
10 Si 0.188 0.250 0.486
11 Si 0.312 0.750 0.986
12 Si 0.421 0.250 0.598
13 Si 0.579 0.750 0.402
14 Si 0.688 0.250 0.014
15 Si 0.812 0.750 0.514
16 Si 0.921 0.250 0.902
17 C 0.208 0.128 0.652
18 C 0.208 0.372 0.652
19 C 0.292 0.628 0.152
20 C 0.292 0.872 0.152
21 C 0.708 0.128 0.848
22 C 0.708 0.372 0.848
23 C 0.792 0.628 0.348
24 C 0.792 0.872 0.348

Results
Its distance to the lowest polymorph of the same formula is 0.012 eV per atom. The formation energy comes out at 0.19 eV/atom. The value obtained for the total magnetization is 0.000 μB per atom.



The following is a DFT calculation (PBE) of an optimized crystal structure of Ba6MgSc2C2O6F14.

abc: 9.102 6.292 9.125
angles: 90.00 98.36 90.00
Atoms (fractional coordinates):
1 Ba 0.000 0.000 0.000
2 Ba 0.045 0.000 0.463
3 Ba 0.233 0.500 0.255
4 Ba 0.301 0.500 0.739
5 Ba 0.531 0.000 0.509
6 Ba 0.738 0.500 0.187
7 Mg 0.999 0.500 0.911
8 Sc 0.422 0.000 0.074
9 Sc 0.859 0.500 0.595
10 C 0.622 0.000 0.885
11 C 0.646 0.500 0.788
12 O 0.479 0.000 0.836
13 O 0.577 0.500 0.900
14 O 0.583 0.500 0.651
15 O 0.658 0.000 0.031
16 O 0.720 0.000 0.798
17 O 0.792 0.500 0.807
18 F 0.013 0.283 0.725
19 F 0.013 0.717 0.725
20 F 0.028 0.500 0.477
21 F 0.251 0.000 0.216
22 F 0.284 0.234 0.980
23 F 0.284 0.766 0.980
24 F 0.293 0.242 0.508
25 F 0.293 0.758 0.508
26 F 0.502 0.236 0.233
27 F 0.502 0.764 0.233
28 F 0.772 0.256 0.469
29 F 0.772 0.744 0.469
30 F 0.969 0.233 0.232
31 F 0.969 0.767 0.232

Results
Its distance to the lowest polymorph of the same formula is 0.095 eV per atom. The formation energy comes out at -3.49 eV/atom. The value obtained for the total magnetization is 0.000 μB per atom.



The following is a DFT calculation (PBE) of an optimized crystal structure of SmRh2.

abc: 5.398 5.398 5.398
angles: 60.00 60.00 60.00
Atoms (fractional coordinates):
1 Sm 0.125 0.125 0.125
2 Sm 0.875 0.875 0.875
3 Rh 0.000 0.500 0.500
4 Rh 0.500 0.000 0.500
5 Rh 0.500 0.500 0.000
6 Rh 0.500 0.500 0.500

Results
The formation energy comes out at -0.69 eV/atom.



The following is a DFT calculation (PBE) of an optimized crystal structure of K2Mg4U3H52O48.

abc: 6.640 8.389 18.355
angles: 94.80 93.16 95.13
Atoms (fractional coordinates):
1 K 0.025 0.003 0.135
2 K 0.975 0.997 0.865
3 Mg 0.000 0.000 0.500
4 Mg 0.000 0.500 0.000
5 Mg 0.031 0.454 0.279
6 Mg 0.969 0.546 0.721
7 U 0.480 0.035 0.739
8 U 0.500 0.000 0.000
9 U 0.520 0.965 0.261
10 H 0.009 0.803 0.979
11 H 0.016 0.148 0.301
12 H 0.040 0.762 0.246
13 H 0.041 0.776 0.588
14 H 0.062 0.106 0.646
15 H 0.083 0.774 0.388
16 H 0.149 0.622 0.853
17 H 0.176 0.598 0.131
18 H 0.193 0.322 0.769
19 H 0.221 0.508 0.536
20 H 0.224 0.277 0.040
21 H 0.241 0.550 0.410
22 H 0.244 0.224 0.329
23 H 0.264 0.854 0.577
24 H 0.277 0.740 0.808
25 H 0.283 0.351 0.494
26 H 0.302 0.442 0.664
27 H 0.311 0.687 0.074
28 H 0.314 0.396 0.931
29 H 0.331 0.633 0.661
30 H 0.337 0.350 0.193
31 H 0.347 0.647 0.345
32 H 0.367 0.585 0.948
33 H 0.372 0.098 0.443
34 H 0.381 0.105 0.531
35 H 0.401 0.538 0.219
36 H 0.599 0.462 0.781
37 H 0.619 0.895 0.469
38 H 0.628 0.902 0.557
39 H 0.633 0.415 0.052
40 H 0.653 0.353 0.655
41 H 0.663 0.650 0.807
42 H 0.669 0.367 0.339
43 H 0.686 0.604 0.069
44 H 0.689 0.313 0.926
45 H 0.698 0.558 0.336
46 H 0.717 0.649 0.506
47 H 0.723 0.260 0.192
48 H 0.736 0.146 0.423
49 H 0.756 0.776 0.671
50 H 0.759 0.450 0.590
51 H 0.776 0.723 0.960
52 H 0.779 0.492 0.464
53 H 0.807 0.678 0.231
54 H 0.824 0.402 0.869
55 H 0.851 0.378 0.147
56 H 0.917 0.226 0.612
57 H 0.938 0.894 0.354
58 H 0.959 0.224 0.412
59 H 0.960 0.238 0.754
60 H 0.984 0.852 0.699
61 H 0.991 0.197 0.021
62 O 0.005 0.868 0.399
63 O 0.044 0.341 0.767
64 O 0.076 0.293 0.045
65 O 0.096 0.245 0.326
66 O 0.129 0.819 0.551
67 O 0.137 0.684 0.810
68 O 0.168 0.647 0.085
69 O 0.195 0.994 0.732
70 O 0.213 0.601 0.363
71 O 0.217 0.956 0.995
72 O 0.227 0.538 0.658
73 O 0.237 0.917 0.254
74 O 0.251 0.500 0.933
75 O 0.263 0.464 0.489
76 O 0.283 0.451 0.211
77 O 0.291 0.119 0.489
78 O 0.438 0.308 0.765
79 O 0.441 0.276 0.685
80 O 0.462 0.242 0.950
81 O 0.463 0.268 0.030
82 O 0.484 0.924 0.617
83 O 0.486 0.202 0.333
84 O 0.489 0.167 0.183
85 O 0.498 0.980 0.864
86 O 0.502 0.020 0.136
87 O 0.511 0.833 0.817
88 O 0.514 0.798 0.667
89 O 0.516 0.076 0.383
90 O 0.537 0.732 0.970
91 O 0.538 0.758 0.050
92 O 0.559 0.724 0.315
93 O 0.562 0.692 0.235
94 O 0.709 0.881 0.511
95 O 0.717 0.549 0.789
96 O 0.737 0.536 0.511
97 O 0.749 0.500 0.067
98 O 0.763 0.083 0.746
99 O 0.773 0.462 0.342
100 O 0.783 0.044 0.005
101 O 0.787 0.399 0.637
102 O 0.805 0.006 0.268
103 O 0.832 0.353 0.915
104 O 0.863 0.316 0.190
105 O 0.871 0.181 0.449
106 O 0.904 0.755 0.674
107 O 0.924 0.707 0.955
108 O 0.956 0.659 0.233
109 O 0.995 0.132 0.601

Results
The formation energy comes out at -1.61 eV/atom. The value obtained for the total magnetization is 0.005 μB per atom.



The following is a DFT calculation (PBE) of an optimized crystal structure of CaHoZn2.

abc: 5.084 5.084 5.084
angles: 60.00 60.00 60.00
Atoms (fractional coordinates):
1 Ca 0.000 0.000 0.000
2 Ho 0.500 0.500 0.500
3 Zn 0.250 0.250 0.250
4 Zn 0.750 0.750 0.750

Results
The formation energy comes out at -0.30 eV/atom.



The following is a DFT calculation (PBE) of an optimized crystal structure of PrBrO.

abc: 4.100 4.100 7.668
angles: 90.00 90.00 90.00
Atoms (fractional coordinates):
1 Pr 0.250 0.250 0.155
2 Pr 0.750 0.750 0.845
3 Br 0.250 0.250 0.640
4 Br 0.750 0.750 0.360
5 O 0.250 0.750 0.000
6 O 0.750 0.250 0.000

Results
The formation energy comes out at -3.08 eV/atom.



The following is a DFT calculation (PBE) of an optimized crystal structure of CeInPt4.

abc: 5.430 5.430 5.430
angles: 60.00 60.00 60.00
Atoms (fractional coordinates):
1 Ce 0.000 0.000 0.000
2 In 0.250 0.250 0.250
3 Pt 0.127 0.624 0.624
4 Pt 0.624 0.127 0.624
5 Pt 0.624 0.624 0.127
6 Pt 0.624 0.624 0.624

Results
The formation energy comes out at -0.81 eV/atom.



The following is a DFT calculation (PBE) of an optimized crystal structure of Ho5Ge4.

abc: 7.636 14.687 7.712
angles: 90.00 90.00 90.00
Atoms (fractional coordinates):
1 Ho 0.032 0.102 0.176
2 Ho 0.032 0.398 0.176
3 Ho 0.121 0.618 0.337
4 Ho 0.121 0.882 0.337
5 Ho 0.212 0.250 0.503
6 Ho 0.288 0.750 0.003
7 Ho 0.379 0.118 0.837
8 Ho 0.379 0.382 0.837
9 Ho 0.468 0.602 0.676
10 Ho 0.468 0.898 0.676
11 Ho 0.532 0.102 0.324
12 Ho 0.532 0.398 0.324
13 Ho 0.621 0.618 0.163
14 Ho 0.621 0.882 0.163
15 Ho 0.712 0.250 0.997
16 Ho 0.788 0.750 0.497
17 Ho 0.879 0.118 0.663
18 Ho 0.879 0.382 0.663
19 Ho 0.968 0.602 0.824
20 Ho 0.968 0.898 0.824
21 Ge 0.080 0.250 0.881
22 Ge 0.165 0.750 0.639
23 Ge 0.220 0.045 0.531
24 Ge 0.220 0.455 0.531
25 Ge 0.280 0.545 0.031
26 Ge 0.280 0.955 0.031
27 Ge 0.335 0.250 0.139
28 Ge 0.420 0.750 0.381
29 Ge 0.580 0.250 0.619
30 Ge 0.665 0.750 0.861
31 Ge 0.720 0.045 0.969
32 Ge 0.720 0.455 0.969
33 Ge 0.780 0.545 0.469
34 Ge 0.780 0.955 0.469
35 Ge 0.835 0.250 0.361
36 Ge 0.920 0.750 0.119

Results
The formation energy comes out at -0.85 eV/atom. The value obtained for the total magnetization is 0.000 μB per atom.



The following is a DFT calculation (PBE) of an optimized crystal structure of BaMg14Si.

abc: 6.498 6.498 10.663
angles: 90.00 90.00 120.00
Atoms (fractional coordinates):
1 Ba 0.000 0.000 0.000
2 Mg 0.012 0.506 0.000
3 Mg 0.167 0.334 0.270
4 Mg 0.167 0.334 0.730
5 Mg 0.167 0.833 0.270
6 Mg 0.167 0.833 0.730
7 Mg 0.494 0.506 0.000
8 Mg 0.494 0.988 0.000
9 Mg 0.504 0.008 0.500
10 Mg 0.504 0.496 0.500
11 Mg 0.666 0.833 0.270
12 Mg 0.666 0.833 0.730
13 Mg 0.667 0.333 0.241
14 Mg 0.667 0.333 0.759
15 Mg 0.992 0.496 0.500
16 Si 0.000 0.000 0.500

Results
Its distance to the lowest polymorph of the same formula is 0.051 eV per atom. The formation energy comes out at 0.11 eV/atom. The value obtained for the total magnetization is 0.000 μB per atom.



The following is a DFT calculation (PBE) of an optimized crystal structure of MgNi2N2.

abc: 3.483 3.483 5.170
angles: 90.00 90.00 90.11
Atoms (fractional coordinates):
1 Mg 0.000 0.000 0.000
2 Ni 0.500 0.500 0.271
3 Ni 0.500 0.500 0.729
4 N 0.000 0.500 0.752
5 N 0.500 0.000 0.248

Results
The formation energy comes out at 0.00 eV/atom. The value obtained for the total magnetization is 0.000 μB per atom.